Record 1
This record from the Materials Project database describes a geometry-optimized La2SbAu3 structure. The functional is PBE.

Cell and atoms, written as extended XYZ:
```
6
Lattice="-3.967 -0.311 -0.178 0.419 -3.904 -2.510 0.038 -4.577 7.125" Properties=species:S:1:pos:R:3 pbc="T T T"
La 0.038 -4.537 7.063
La 0.229 -4.284 2.375
Sb -1.970 -1.693 2.304
Au -1.742 -5.935 4.614
Au -1.768 -2.843 -0.200
Au -1.958 -3.205 4.658
```

=====

Record 2
This record from the Materials Project database describes a geometry-optimized Nb3Ni20B6 structure. The functional is PBE.

Cell and atoms, written as extended XYZ:
```
29
Lattice="-3.035 -5.625 3.900 -6.947 0.649 2.716 -5.570 -4.032 -2.963" Properties=species:S:1:pos:R:3 pbc="T T T"
Nb -3.888 -2.252 0.913
Nb -11.664 -6.756 2.740
Nb 0.000 0.000 0.000
Ni -5.981 -3.464 1.405
Ni -9.570 -5.543 2.248
Ni -8.552 -5.325 0.037
Ni -9.188 -3.165 2.659
Ni -7.000 -3.682 3.616
Ni -6.364 -5.843 0.994
Ni -7.382 -6.061 3.205
Ni -8.169 -2.947 0.448
Ni -1.042 -1.932 1.339
Ni -1.993 -3.693 2.560
Ni -6.043 -2.424 -1.012
Ni -6.474 -0.959 0.766
Ni -2.386 0.223 0.933
Ni -3.906 -5.078 1.543
Ni -4.561 0.426 1.783
Ni -4.699 -4.579 -0.606
Ni -1.913 -1.385 -1.018
Ni -3.657 -2.647 -1.945
Ni -4.379 -3.470 3.493
Ni -5.603 -1.506 3.123
B -5.572 -5.025 2.790
B -9.980 -3.983 0.863
B -7.390 -2.108 2.240
B -8.161 -6.900 1.413
B -6.750 -4.284 -0.400
B -8.802 -4.723 4.053
```

=====

Record 3
This record from the Materials Project database describes a geometry-optimized Sr2MgCuBr2O2 structure. The functional is PBE.

Cell and atoms, written as extended XYZ:
```
8
Lattice="3.886 0.000 -0.881 -0.200 3.880 -0.881 0.877 0.924 12.872" Properties=species:S:1:pos:R:3 pbc="T T T"
Sr 2.226 2.343 0.806
Sr 2.391 2.517 10.541
Mg 1.409 1.484 6.213
Cu 0.030 0.031 0.131
Br 3.894 4.099 8.160
Br 0.742 0.782 3.273
O 1.976 0.035 -0.295
O -0.067 1.975 -0.295
```

Summary:
Offset from the most stable computed form = 0 kJ/mol of formula units

=====

no.,energy of formation from the pure elements (meV per atom)
1,-860
2,-351
3,-1757